## one
The following is a DFT calculation (PBE) of a relaxed Rb3LuO3 crystal.

Cell lengths 7.288, 7.288, 7.220 Å; angles 95.29, 95.29, 115.72 degrees
Fractional positions:
Rb 0.200 0.800 0.000
Rb 0.262 0.738 0.500
Rb 0.366 0.366 0.145
Rb 0.634 0.634 0.855
Rb 0.738 0.262 0.500
Rb 0.800 0.200 0.000
Lu 0.174 0.174 0.647
Lu 0.826 0.826 0.353
O 0.099 0.099 0.346
O 0.163 0.438 0.767
O 0.438 0.163 0.767
O 0.562 0.837 0.233
O 0.837 0.562 0.233
O 0.901 0.901 0.654

## two
The following is a DFT calculation (PBE) of a relaxed Rb3LuO3 crystal.

Cell lengths 7.918, 7.309, 11.657 Å; angles 90.00, 94.43, 90.00 degrees
Fractional positions:
Rb 0.064 0.122 0.155
Rb 0.064 0.378 0.655
Rb 0.359 0.172 0.922
Rb 0.359 0.328 0.422
Rb 0.374 0.696 0.808
Rb 0.374 0.804 0.308
Rb 0.626 0.196 0.692
Rb 0.626 0.304 0.192
Rb 0.641 0.672 0.578
Rb 0.641 0.828 0.078
Rb 0.936 0.622 0.345
Rb 0.936 0.878 0.845
Lu 0.160 0.587 0.066
Lu 0.160 0.913 0.566
Lu 0.840 0.087 0.434
Lu 0.840 0.413 0.934
O 0.103 0.048 0.405
O 0.103 0.452 0.905
O 0.251 0.651 0.542
O 0.251 0.849 0.042
O 0.307 0.058 0.687
O 0.307 0.442 0.187
O 0.693 0.558 0.813
O 0.693 0.942 0.313
O 0.749 0.151 0.958
O 0.749 0.349 0.458
O 0.897 0.548 0.095
O 0.897 0.952 0.595

On energetic grounds, two is preferred over the next structure by 0.009 eV/atom.

## one
The following is a DFT calculation (PBE) of a relaxed Lu2Sb2O7 crystal.

* total magnetization: 0.0 μB per formula unit
* largest piezoelectric modulus: 1.293 C/m²

Cell lengths 7.500, 7.500, 7.500 Å; angles 91.16, 119.78, 118.89 degrees
Fractional positions:
Lu 0.000 0.000 0.000
Lu 0.000 0.500 0.500
Lu 0.039 0.997 0.542
Lu 0.454 0.497 0.458
Sb 0.004 0.495 0.009
Sb 0.487 0.995 0.991
Sb 0.522 0.022 0.500
Sb 0.522 0.522 0.000
O 0.199 0.365 0.088
O 0.199 0.611 0.334
O 0.231 0.744 0.987
O 0.249 0.122 0.363
O 0.249 0.386 0.627
O 0.277 0.111 0.912
O 0.277 0.865 0.666
O 0.679 0.137 0.315
O 0.679 0.864 0.041
O 0.756 0.244 0.013
O 0.759 0.622 0.373
O 0.759 0.886 0.637
O 0.823 0.364 0.685
O 0.823 0.637 0.959

## two
The following is a DFT calculation (PBE) of a relaxed Lu2Sb2O7 crystal.

* total magnetization: 0.0 μB per formula unit

Cell lengths 7.500, 7.500, 18.282 Å; angles 90.00, 90.00, 120.00 degrees
Fractional positions:
Lu 0.000 0.832 0.167
Lu 0.000 0.849 0.667
Lu 0.151 0.151 0.000
Lu 0.168 0.168 0.500
Lu 0.175 0.682 0.011
Lu 0.318 0.494 0.344
Lu 0.494 0.318 0.656
Lu 0.506 0.825 0.678
Lu 0.682 0.175 0.989
Lu 0.825 0.506 0.322
Lu 0.832 0.000 0.833
Lu 0.849 0.000 0.333
Sb 0.000 0.314 0.667
Sb 0.000 0.324 0.167
Sb 0.171 0.672 0.502
Sb 0.314 0.000 0.333
Sb 0.324 0.000 0.833
Sb 0.328 0.499 0.835
Sb 0.499 0.328 0.165
Sb 0.501 0.829 0.169
Sb 0.672 0.171 0.498
Sb 0.676 0.676 0.500
Sb 0.686 0.686 0.000
Sb 0.829 0.501 0.831
O 0.009 0.333 0.292
O 0.020 0.823 0.533
O 0.025 0.853 0.283
O 0.055 0.451 0.804
O 0.102 0.659 0.395
O 0.147 0.172 0.617
O 0.172 0.147 0.383
O 0.177 0.198 0.866
O 0.198 0.177 0.134
O 0.199 0.683 0.138
O 0.244 0.687 0.607
O 0.313 0.557 0.940
O 0.317 0.516 0.471
O 0.324 0.991 0.958
O 0.333 0.009 0.708
O 0.341 0.443 0.728
O 0.396 0.945 0.471
O 0.443 0.341 0.272
O 0.443 0.756 0.274
O 0.451 0.055 0.196
O 0.484 0.801 0.804
O 0.516 0.317 0.529
O 0.549 0.604 0.138
O 0.557 0.313 0.060
O 0.557 0.898 0.061
O 0.604 0.549 0.862
O 0.659 0.102 0.605
O 0.667 0.676 0.625
O 0.676 0.667 0.375
O 0.683 0.199 0.862
O 0.687 0.244 0.393
O 0.756 0.443 0.726
O 0.801 0.484 0.196
O 0.802 0.980 0.200
O 0.823 0.020 0.467
O 0.828 0.975 0.950
O 0.853 0.025 0.717
O 0.898 0.557 0.939
O 0.945 0.396 0.529
O 0.975 0.828 0.050
O 0.980 0.802 0.800
O 0.991 0.324 0.042

On energetic grounds, two is preferred over the next structure by 0.053 eV/atom.

## one
The following is a DFT calculation (PBE) of a relaxed Lu2SiO5 crystal.

Cell lengths 7.883, 7.883, 10.288 Å; angles 118.68, 118.68, 50.09 degrees
Fractional positions:
Lu 0.023 0.260 0.839
Lu 0.205 0.719 0.529
Lu 0.260 0.023 0.339
Lu 0.281 0.795 0.971
Lu 0.719 0.205 0.029
Lu 0.740 0.977 0.661
Lu 0.795 0.281 0.471
Lu 0.977 0.740 0.161
Si 0.225 0.410 0.694
Si 0.410 0.225 0.194
Si 0.590 0.775 0.806
Si 0.775 0.590 0.306
O 0.050 0.352 0.679
O 0.079 0.889 0.104
O 0.090 0.666 0.669
O 0.111 0.921 0.396
O 0.220 0.374 0.066
O 0.334 0.910 0.831
O 0.352 0.050 0.179
O 0.374 0.220 0.566
O 0.398 0.426 0.866
O 0.426 0.398 0.366
O 0.574 0.602 0.634
O 0.602 0.574 0.134
O 0.626 0.780 0.434
O 0.648 0.950 0.821
O 0.666 0.090 0.169
O 0.780 0.626 0.934
O 0.889 0.079 0.604
O 0.910 0.334 0.331
O 0.921 0.111 0.896
O 0.950 0.648 0.321

## two
The following is a DFT calculation (PBE) of a relaxed Lu2SiO5 crystal.

* total magnetization: 0.0 μB per formula unit

Cell lengths 9.120, 6.611, 6.682 Å; angles 90.00, 100.33, 90.00 degrees
Fractional positions:
Lu 0.037 0.117 0.224
Lu 0.037 0.383 0.724
Lu 0.351 0.142 0.989
Lu 0.351 0.358 0.489
Lu 0.649 0.642 0.511
Lu 0.649 0.858 0.011
Lu 0.963 0.617 0.276
Lu 0.963 0.883 0.776
Si 0.297 0.598 0.986
Si 0.297 0.902 0.486
Si 0.703 0.098 0.514
Si 0.703 0.402 0.014
O 0.106 0.123 0.921
O 0.106 0.377 0.421
O 0.115 0.649 0.958
O 0.115 0.851 0.458
O 0.291 0.061 0.289
O 0.291 0.439 0.789
O 0.348 0.065 0.669
O 0.348 0.435 0.169
O 0.402 0.701 0.495
O 0.402 0.799 0.995
O 0.598 0.201 0.005
O 0.598 0.299 0.505
O 0.652 0.565 0.831
O 0.652 0.935 0.331
O 0.709 0.561 0.211
O 0.709 0.939 0.711
O 0.885 0.149 0.542
O 0.885 0.351 0.042
O 0.894 0.623 0.579
O 0.894 0.877 0.079

On energetic grounds, one is preferred over the next structure by 0.024 eV/atom.

## one
The following is a DFT calculation (PBE) of a relaxed SrLu2O4 crystal.

Cell lengths 6.814, 6.814, 6.814 Å; angles 60.00, 60.00, 60.00 degrees
Fractional positions:
Sr 0.125 0.125 0.125
Sr 0.875 0.875 0.875
Lu 0.000 0.500 0.500
Lu 0.500 0.000 0.500
Lu 0.500 0.500 0.000
Lu 0.500 0.500 0.500
O 0.268 0.268 0.268
O 0.268 0.268 0.695
O 0.268 0.695 0.268
O 0.305 0.732 0.732
O 0.695 0.268 0.268
O 0.732 0.305 0.732
O 0.732 0.732 0.305
O 0.732 0.732 0.732

## two
The following is a DFT calculation (PBE) of a relaxed SrLu2O4 crystal.

* total magnetization: 0.0 μB per formula unit

Cell lengths 5.718, 5.718, 11.025 Å; angles 90.00, 90.00, 146.33 degrees
Fractional positions:
Sr 0.111 0.889 0.750
Sr 0.889 0.111 0.250
Lu 0.366 0.634 0.572
Lu 0.366 0.634 0.928
Lu 0.634 0.366 0.072
Lu 0.634 0.366 0.428
O 0.000 0.000 0.000
O 0.000 0.000 0.500
O 0.264 0.736 0.107
O 0.264 0.736 0.393
O 0.446 0.554 0.750
O 0.554 0.446 0.250
O 0.736 0.264 0.607
O 0.736 0.264 0.893

## three
The following is a DFT calculation (PBE) of a relaxed SrLu2O4 crystal.

Cell lengths 10.011, 3.346, 11.781 Å; angles 90.00, 90.00, 90.00 degrees
Fractional positions:
Sr 0.246 0.250 0.150
Sr 0.254 0.750 0.650
Sr 0.746 0.250 0.350
Sr 0.754 0.750 0.850
Lu 0.073 0.250 0.388
Lu 0.079 0.250 0.891
Lu 0.421 0.750 0.391
Lu 0.427 0.750 0.888
Lu 0.573 0.250 0.112
Lu 0.579 0.250 0.609
Lu 0.921 0.750 0.109
Lu 0.927 0.750 0.612
O 0.019 0.750 0.783
O 0.075 0.250 0.575
O 0.121 0.750 0.020
O 0.209 0.750 0.330
O 0.291 0.250 0.830
O 0.379 0.250 0.520
O 0.425 0.750 0.075
O 0.481 0.250 0.283
O 0.519 0.750 0.717
O 0.575 0.250 0.925
O 0.621 0.750 0.480
O 0.709 0.750 0.170
O 0.791 0.250 0.670
O 0.879 0.250 0.980
O 0.925 0.750 0.425
O 0.981 0.250 0.217

On energetic grounds, three is preferred over the next structure by 0.010 eV/atom.